[1]
The following is a PBE calculation of a geometry-optimized Y6Cu11O24 structure, from the Materials Project.

Unit cell a=6.331 b=8.149 c=10.042 alpha=66.23 beta=81.57 gamma=89.23
Space group P-1 (No. 2)
One atom of each set of equivalent atoms:
Y 0.076 0.464 0.324
Y 0.247 0.868 0.000
Y 0.422 0.791 0.672
Cu 0.000 0.000 0.500
Cu 0.160 0.176 0.160
Cu 0.163 0.167 0.664
Cu 0.328 0.331 0.834
Cu 0.335 0.830 0.334
Cu 0.500 0.500 0.000
Cu 0.500 0.500 0.500
O 0.011 0.983 0.157
O 0.035 0.814 0.682
O 0.037 0.333 0.881
O 0.063 0.697 0.417
O 0.295 0.974 0.443
O 0.298 0.655 0.913
O 0.302 0.523 0.655
O 0.315 0.360 0.175
O 0.338 0.315 0.485
O 0.361 0.146 0.013
O 0.375 0.687 0.223
O 0.393 0.037 0.745

Output
total DFT energy (no corrections)	-6.60	eV/atom

[2]
The following is a PBE calculation of a geometry-optimized CrCoCl3 structure, from the Materials Project.

Unit cell a=6.5743 b=6.5743 c=5.6914 alpha=90.00 beta=90.00 gamma=120.00
Space group P6_3/mmc (No. 194)
One atom of each set of equivalent atoms:
Cr 0.3333 0.6667 0.2500
Co 0.0000 0.0000 0.0000
Cl 0.1690 0.3379 0.7500

Output
total DFT energy (no corrections)	-4.59	eV/atom

[3]
The following is a PBE calculation of a geometry-optimized CaB4 structure, from the Materials Project.

Unit cell a=7.158 b=7.158 c=4.105 alpha=90.00 beta=90.00 gamma=90.00
Space group P4/mbm (No. 127)
One atom of each set of equivalent atoms:
Ca 0.183 0.317 0.000
B 0.000 0.000 0.206
B 0.036 0.825 0.500
B 0.085 0.585 0.500

Output
total DFT energy (no corrections)	-6.14	eV/atom

[4]
The following is a PBE calculation of a geometry-optimized TmHfIr2 structure, from the Materials Project.

Unit cell a=6.664 b=6.664 c=6.664 alpha=90.00 beta=90.00 gamma=90.00
Space group Fm-3m (No. 225)
One atom of each set of equivalent atoms:
Tm 0.000 0.000 0.000
Hf 0.000 0.000 0.500
Ir 0.250 0.250 0.250

Output
total DFT energy (no corrections)	-8.94	eV/atom

[5]
The following is a PBE calculation of a geometry-optimized Mg14CdC structure, from the Materials Project.

Unit cell a=9.618 b=6.685 c=10.823 alpha=90.00 beta=90.00 gamma=90.00
Space group Amm2 (No. 38)
One atom of each set of equivalent atoms:
Mg 0.000 0.000 0.000
Mg 0.000 0.000 0.499
Mg 0.000 0.242 0.243
Mg 0.245 0.000 0.823
Mg 0.259 0.000 0.328
Mg 0.289 0.226 0.568
Mg 0.500 0.242 0.287
Cd 0.500 0.000 0.009
C 0.500 0.000 0.434

Output
relative energy among the computed polymorphs	6.3	kJ/mol of atoms
total DFT energy (no corrections)	-1.82	eV/atom

[6]
The following is a PBE calculation of a geometry-optimized TiGaTc2 structure, from the Materials Project.

Unit cell a=6.173 b=6.173 c=6.173 alpha=90.00 beta=90.00 gamma=90.00
Space group Fm-3m (No. 225)
One atom of each set of equivalent atoms:
Ti 0.000 0.000 0.000
Ga 0.000 0.000 0.500
Tc 0.250 0.250 0.250

Output
total DFT energy (no corrections)	-8.19	eV/atom

[7]
The following is a PBE calculation of a geometry-optimized PuP2CO7 structure, from the Materials Project.

Unit cell a=6.673 b=5.943 c=8.994 alpha=90.00 beta=102.74 gamma=90.00
Space group P2_1 (No. 4)
One atom of each set of equivalent atoms:
Pu 0.126 0.000 0.289
P 0.182 0.000 0.900
P 0.484 0.498 0.327
C 0.411 0.993 0.836
O 0.061 0.503 0.592
O 0.070 0.782 0.840
O 0.072 0.218 0.837
O 0.242 0.003 0.076
O 0.325 0.995 0.544
O 0.349 0.289 0.322
O 0.357 0.713 0.316

Output
total DFT energy (no corrections)	-7.86	eV/atom

[8]
The following is a PBE calculation of a geometry-optimized ReTe2Cl12 structure, from the Materials Project.

Unit cell a=6.768 b=7.232 c=11.306 alpha=71.92 beta=88.42 gamma=63.13
Space group P-1 (No. 2)
One atom of each set of equivalent atoms:
Re 0.000 0.000 0.000
Te 0.260 0.498 0.758
Cl 0.011 0.234 0.802
Cl 0.028 0.276 0.413
Cl 0.055 0.218 0.102
Cl 0.394 0.784 0.020
Cl 0.430 0.728 0.703
Cl 0.482 0.264 0.649

Output
relative energy among the computed polymorphs	1.1	kJ/mol of atoms
total DFT energy (no corrections)	-3.32	eV/atom

[9]
The following is a PBE calculation of a geometry-optimized NdAl4Ni structure, from the Materials Project.

Unit cell a=4.148 b=15.782 c=6.561 alpha=90.00 beta=90.00 gamma=90.00
Space group Cmcm (No. 63)
One atom of each set of equivalent atoms:
Nd 0.000 0.114 0.250
Al 0.000 0.077 0.750
Al 0.000 0.308 0.052
Al 0.000 0.500 0.000
Ni 0.000 0.223 0.750

Output
total DFT energy (no corrections)	-4.80	eV/atom

[10]
The following is a PBE calculation of a geometry-optimized AgPO3 structure, from the Materials Project.

Unit cell a=7.503 b=6.054 c=14.204 alpha=90.00 beta=119.16 gamma=90.00
Space group P2_1/c (No. 14)
One atom of each set of equivalent atoms:
Ag 0.001 0.160 0.124
Ag 0.235 0.089 0.466
P 0.241 0.680 0.225
P 0.433 0.614 0.611
O 0.118 0.653 0.748
O 0.130 0.530 0.128
O 0.245 0.027 0.046
O 0.365 0.537 0.333
O 0.429 0.701 0.719
O 0.478 0.700 0.057

Output
total DFT energy (no corrections)	-6.17	eV/atom

[11]
The following is a PBE calculation of a geometry-optimized Rb2Be2CuO6F8 structure, from the Materials Project.

Unit cell a=6.177 b=11.680 c=8.446 alpha=90.00 beta=102.86 gamma=90.00
Space group P2_1/c (No. 14)
One atom of each set of equivalent atoms:
Rb 0.161 0.144 0.393
Be 0.254 0.657 0.895
Cu 0.500 0.000 0.000
O 0.169 0.572 0.506
O 0.341 0.104 0.862
O 0.412 0.116 0.115
F 0.094 0.739 0.408
F 0.124 0.580 0.742
F 0.279 0.579 0.043
F 0.474 0.700 0.857

Output
total DFT energy (no corrections)	-4.20	eV/atom

[12]
The following is a PBE calculation of a geometry-optimized Ce3Sn6Pd4 structure, from the Materials Project.

Unit cell a=16.851 b=4.655 c=15.691 alpha=90.00 beta=90.00 gamma=90.00
Space group Pnma (No. 62)
One atom of each set of equivalent atoms:
Ce 0.116 0.250 0.248
Ce 0.143 0.750 0.618
Ce 0.149 0.250 0.983
Sn 0.026 0.750 0.920
Sn 0.051 0.250 0.459
Sn 0.055 0.250 0.769
Sn 0.172 0.750 0.394
Sn 0.189 0.750 0.836
Sn 0.206 0.750 0.120
Pd 0.010 0.750 0.380
Pd 0.048 0.750 0.099
Pd 0.209 0.250 0.475
Pd 0.217 0.250 0.766

Output
total DFT energy (no corrections)	-5.52	eV/atom

[13]
The following is a PBE calculation of a geometry-optimized BaSrSmSbO6 structure, from the Materials Project.

Unit cell a=8.568 b=8.568 c=8.568 alpha=90.00 beta=90.00 gamma=90.00
Space group F-43m (No. 216)
One atom of each set of equivalent atoms:
Ba 0.000 0.000 0.000
Sr 0.000 0.000 0.500
Sm 0.250 0.250 0.750
Sb 0.250 0.250 0.250
O 0.016 0.250 0.250

Output
relative energy among the computed polymorphs	2.4	kJ/mol of atoms
total DFT energy (no corrections)	-6.81	eV/atom

[14]
The following is a PBE calculation of a geometry-optimized DyFeC2 structure, from the Materials Project.

Unit cell a=3.636 b=4.540 c=5.913 alpha=90.00 beta=90.00 gamma=90.00
Space group Amm2 (No. 38)
One atom of each set of equivalent atoms:
Dy 0.000 0.000 0.000
Fe 0.500 0.000 0.609
C 0.500 0.155 0.294

Output
total DFT energy (no corrections)	-8.15	eV/atom